Entry P
DFT (PBE) results for a geometry-optimized Mg14SiC structure.

Output
The space group is Amm2 (38).

Lattice parameters (Å, degrees): 8.4741 6.3747 6.3747 75.33 90.00 90.00
Fractional coordinates of all 16 atoms:
Mg (0.0000, 0.0000, 0.0000)
Mg (0.0000, 0.4782, 0.4782)
Mg (0.0000, 0.5296, 0.9455)
Mg (0.0000, 0.9455, 0.5296)
Mg (0.2258, 0.2354, 0.2354)
Mg (0.2946, 0.7935, 0.7935)
Mg (0.3157, 0.3238, 0.7016)
Mg (0.3157, 0.7016, 0.3238)
Mg (0.5000, 0.0217, 0.4702)
Mg (0.5000, 0.4702, 0.0217)
Mg (0.6842, 0.3238, 0.7016)
Mg (0.6842, 0.7016, 0.3238)
Mg (0.7054, 0.7935, 0.7935)
Mg (0.7742, 0.2354, 0.2354)
Si (0.5000, 0.0281, 0.0281)
C (0.5000, 0.6382, 0.6382)

Entry Q
DFT (PBE) results for a geometry-optimized Mg14SiC structure.

Output
The space group is P-6m2 (187).

Lattice parameters (Å, degrees): 6.2061 6.2061 9.8263 90.00 90.00 120.00
Fractional coordinates of all 16 atoms:
Mg (0.0000, 0.0000, 0.2488)
Mg (0.0000, 0.0000, 0.7512)
Mg (0.0128, 0.5064, 0.2377)
Mg (0.0128, 0.5064, 0.7623)
Mg (0.3290, 0.1645, 0.0000)
Mg (0.3355, 0.1677, 0.5000)
Mg (0.4936, 0.5064, 0.2377)
Mg (0.4936, 0.5064, 0.7623)
Mg (0.4936, 0.9872, 0.2377)
Mg (0.4936, 0.9872, 0.7623)
Mg (0.8323, 0.1677, 0.5000)
Mg (0.8323, 0.6646, 0.5000)
Mg (0.8355, 0.1645, 0.0000)
Mg (0.8355, 0.6710, 0.0000)
Si (0.3333, 0.6667, 0.5000)
C (0.3333, 0.6667, 0.0000)

Relative energies, eV/atom: entry P 0.000; entry Q 0.135.